Compound: Ca3BiN
Source: the Materials Project
Functional: PBE-GGA
Structure: optimized geometry

abc: 4.9197 4.9197 4.9197
angles: 90.00 90.00 90.00
Space group Pm-3m (No. 221)
Unique sites:
1 Ca 0.0000 0.0000 0.5000 x3
2 Bi 0.5000 0.5000 0.5000 x1
3 N 0.0000 0.0000 0.0000 x1

Output
Energy of formation from the pure elements, eV per atom: -1.086